Entry 1:
## K2P4PtClO11 (PBE)

Data for a relaxed structure of K2P4PtClO11.

Computed properties:
The value obtained for the energy of formation from the pure elements is -2001 meV per atom. Its symmetry is No. 2. For the MP2020-corrected energy, the calculation gives -248.468 eV for the cell shown. The crystal system is triclinic. For the electronic total energy, the calculation gives -6.141 eV per atom.

a b c (Å): 8.8404 9.7943 9.8771
angles (deg): 65.89 79.91 67.59
With the nearest neighbours (Å) after each atom.
Sites, in units of the cell vectors:
K: 0.6739 0.2478 0.2139  3 O 2.75-3.05
K: 0.3261 0.7522 0.7861  3 O 2.75-3.05
K: 0.2198 0.9648 0.1215  6 O 2.74-3.00
K: 0.7802 0.0352 0.8785  6 O 2.74-3.00
P: 0.2389 0.5310 0.2525  2 O 1.48-1.49
P: 0.7611 0.4690 0.7475  2 O 1.48-1.49
P: 0.3814 0.2974 0.8222  3 O 1.51-1.53
P: 0.6186 0.7026 0.1778  3 O 1.51-1.53
P: 0.8373 0.7204 0.7905  3 O 1.47-1.58
P: 0.1627 0.2796 0.2095  3 O 1.47-1.58
P: 0.8225 0.8357 0.2764  3 O 1.48-1.59
P: 0.1775 0.1643 0.7236  3 O 1.48-1.59
Pt: 0.0464 0.6169 0.4243  1 Cl 2.24, 2 P 2.35-2.42
Pt: 0.9536 0.3831 0.5757  1 Cl 2.24, 2 P 2.35-2.42
Cl: 0.1361 0.7680 0.4864  1 Pt 2.24
Cl: 0.8639 0.2320 0.5136  1 Pt 2.24
O: 0.2346 0.6800 0.1231  1 P 1.49
O: 0.7654 0.3200 0.8769  1 P 1.49
O: 0.3843 0.4038 0.3350  1 P 1.48
O: 0.6157 0.5962 0.6650  1 P 1.48
O: 0.1267 0.4542 0.1995  2 P 1.58-1.70
O: 0.8733 0.5458 0.8005  2 P 1.58-1.70
O: 0.2186 0.2548 0.8065  2 P 1.59-1.69
O: 0.7814 0.7452 0.1935  2 P 1.59-1.69
O: 0.5062 0.2649 0.7034  1 P 1.51
O: 0.4938 0.7351 0.2966  1 P 1.51
O: 0.3081 0.4678 0.8139  1 P 1.51
O: 0.6919 0.5322 0.1861  1 P 1.51
O: 0.6869 0.8461 0.7194  1 P 1.47
O: 0.3131 0.1539 0.2806  1 P 1.47
O: 0.9668 0.7305 0.8576  1 P 1.47
O: 0.0332 0.2695 0.1424  1 P 1.47
O: 0.7096 0.8742 0.3960  1 P 1.48
O: 0.2904 0.1258 0.6040  1 P 1.48
O: 0.9054 0.9466 0.1674  1 P 1.50
O: 0.0946 0.0534 0.8326  1 P 1.50
O: 0.4387 0.1818 0.9793  1 P 1.53
O: 0.5613 0.8182 0.0207  1 P 1.53


Entry 2:
## K4Re2Cl10O (PBE)

Data for a relaxed structure of K4Re2Cl10O.

Computed properties:
The value obtained for the energy of formation from the pure elements is -1393 meV per atom. Its symmetry is No. 139. For the MP2020-corrected energy, the calculation gives -76.451 eV for the cell shown. The crystal system is tetragonal. For the electronic total energy, the calculation gives -4.457 eV per atom.

a b c (Å): 10.2996 10.2996 10.2996
angles (deg): 139.24 139.24 59.02
With the nearest neighbours (Å) after each atom.
Sites, in units of the cell vectors:
K: 0.5000 0.0000 0.5000  8 Cl 3.24, 2 O 3.59
K: 0.2500 0.7500 0.5000  12 Cl 3.55-3.59
K: 0.7500 0.2500 0.5000  12 Cl 3.55-3.59
K: 0.0000 0.5000 0.5000  8 Cl 3.24, 2 O 3.59
Re: 0.1036 0.1036 0.0000  1 O 1.86
Re: 0.8964 0.8964 0.0000  1 O 1.86
Cl: 0.1247 0.6512 0.0000  1 Re 2.41
Cl: 0.2385 0.2385 0.0000  1 Re 2.42
Cl: 0.6512 0.1247 0.0000  1 Re 2.41
Cl: 0.8753 0.8753 0.5265  1 Re 2.41
Cl: 0.1247 0.1247 0.4735  1 Re 2.41
Cl: 0.8753 0.3488 0.0000  1 Re 2.41
Cl: 0.3488 0.3488 0.4735  1 Re 2.41
Cl: 0.7615 0.7615 0.0000  1 Re 2.42
Cl: 0.6512 0.6512 0.5265  1 Re 2.41
Cl: 0.3488 0.8753 0.0000  1 Re 2.41
O: 0.0000 0.0000 0.0000  2 Re 1.86


Entry 3:
## K2RuCl5O (PBE)

Data for a relaxed structure of K2RuCl5O.

Computed properties:
The value obtained for the energy of formation from the pure elements is -1141 meV per atom. Its symmetry is No. 139. For the MP2020-corrected energy, the calculation gives -71.914 eV for the cell shown. The crystal system is tetragonal. For the electronic total energy, the calculation gives -3.919 eV per atom. The energy above the most stable polymorph in this dataset comes out at 0.1153 eV per atom.

a b c (Å): 10.0724 10.0724 10.0724
angles (deg): 137.35 137.35 61.90
With the nearest neighbours (Å) after each atom.
Sites, in units of the cell vectors:
K: 0.0000 0.5000 0.5000  8 Cl 3.24
K: 0.5000 0.0000 0.5000  8 Cl 3.24
K: 0.7500 0.2500 0.5000  12 Cl 3.53-3.67
K: 0.2500 0.7500 0.5000  12 Cl 3.53-3.67
Ru: 0.8958 0.8958 0.0000  1 O 1.80
Ru: 0.1042 0.1042 0.0000  1 O 1.80
Cl: 0.7605 0.7605 0.0000  1 Ru 2.34
Cl: 0.2395 0.2395 0.0000  1 Ru 2.34
Cl: 0.1193 0.1193 0.4626  1 Ru 2.40
Cl: 0.6567 0.6567 0.5374  1 Ru 2.40
Cl: 0.1193 0.6567 0.0000  1 Ru 2.40
Cl: 0.6567 0.1193 0.0000  1 Ru 2.40
Cl: 0.8807 0.8807 0.5374  1 Ru 2.40
Cl: 0.3433 0.3433 0.4626  1 Ru 2.40
Cl: 0.8807 0.3433 0.0000  1 Ru 2.40
Cl: 0.3433 0.8807 0.0000  1 Ru 2.40
O: 0.0000 0.0000 0.0000  2 Ru 1.80
O: 0.5000 0.5000 0.0000  8 Cl 3.39, 4 K 3.66


Entry 4:
## K2RuCl5O (PBE)

Data for a relaxed structure of K2RuCl5O.

Computed properties:
The value obtained for the energy of formation from the pure elements is -1257 meV per atom. Its symmetry is No. 62. For the MP2020-corrected energy, the calculation gives -147.978 eV for the cell shown. The crystal system is orthorhombic. For the electronic total energy, the calculation gives -4.034 eV per atom. The energy above the most stable polymorph in this dataset comes out at 0.0000 eV per atom.

a b c (Å): 7.1698 9.6439 13.5868
angles (deg): 90.00 90.00 90.00
With the nearest neighbours (Å) after each atom.
Sites, in units of the cell vectors:
K: 0.3511 0.4995 0.1469  8 Cl 3.23-3.49
K: 0.1489 0.0005 0.6469  8 Cl 3.23-3.49
K: 0.6489 0.9995 0.8531  8 Cl 3.23-3.49
K: 0.8511 0.5005 0.3531  8 Cl 3.23-3.49
K: 0.6489 0.5005 0.8531  8 Cl 3.23-3.49
K: 0.8511 0.9995 0.3531  8 Cl 3.23-3.49
K: 0.3511 0.0005 0.1469  8 Cl 3.23-3.49
K: 0.1489 0.4995 0.6469  8 Cl 3.23-3.49
Ru: 0.8271 0.7500 0.0954  1 O 1.72
Ru: 0.6729 0.7500 0.5954  1 O 1.72
Ru: 0.1729 0.2500 0.9046  1 O 1.72
Ru: 0.3271 0.2500 0.4046  1 O 1.72
Cl: 0.5424 0.7500 0.0014  1 Ru 2.41
Cl: 0.9576 0.7500 0.5014  1 Ru 2.41
Cl: 0.4576 0.2500 0.9986  1 Ru 2.41
Cl: 0.0424 0.2500 0.4986  1 Ru 2.41
Cl: 0.6165 0.7500 0.2431  1 Ru 2.51
Cl: 0.8835 0.7500 0.7431  1 Ru 2.51
Cl: 0.3835 0.2500 0.7569  1 Ru 2.51
Cl: 0.1165 0.2500 0.2569  1 Ru 2.51
Cl: 0.0789 0.7500 0.2112  1 Ru 2.40
Cl: 0.4211 0.7500 0.7112  1 Ru 2.40
Cl: 0.9211 0.2500 0.7888  1 Ru 2.40
Cl: 0.5789 0.2500 0.2888  1 Ru 2.40
Cl: 0.8125 0.5057 0.1069  1 Ru 2.36
Cl: 0.6875 0.9943 0.6069  1 Ru 2.36
Cl: 0.1875 0.0057 0.8931  1 Ru 2.36
Cl: 0.3125 0.4943 0.3931  1 Ru 2.36
Cl: 0.1875 0.4943 0.8931  1 Ru 2.36
Cl: 0.3125 0.0057 0.3931  1 Ru 2.36
Cl: 0.8125 0.9943 0.1069  1 Ru 2.36
Cl: 0.6875 0.5057 0.6069  1 Ru 2.36
O: 0.9663 0.7500 0.9922  1 Ru 1.72
O: 0.5337 0.7500 0.4922  1 Ru 1.72
O: 0.0337 0.2500 0.0078  1 Ru 1.72
O: 0.4663 0.2500 0.5078  1 Ru 1.72


Entry 5:
## K3Sn2S3ClO3 (PBE)

Data for a relaxed structure of K3Sn2S3ClO3.

Computed properties:
The value obtained for the energy of formation from the pure elements is -1125 meV per atom. Its symmetry is No. 4. For the MP2020-corrected energy, the calculation gives -107.899 eV for the cell shown. The crystal system is monoclinic. For the electronic total energy, the calculation gives -4.324 eV per atom.

a b c (Å): 7.2285 9.3695 9.6350
angles (deg): 61.24 90.00 90.00
With the nearest neighbours (Å) after each atom.
Sites, in units of the cell vectors:
K: 0.0493 0.6602 0.6658  3 O 2.62-2.83
K: 0.5493 0.3398 0.3342  3 O 2.62-2.83
K: 0.2739 0.9789 0.7545  2 O 2.70-2.99
K: 0.2731 0.7542 0.2692  2 O 2.82-2.86, 1 Cl 3.00
K: 0.7739 0.0211 0.2455  2 O 2.70-2.99
K: 0.7731 0.2458 0.7308  2 O 2.82-2.86, 1 Cl 3.00
Sn: 0.5451 0.6467 0.6717  3 S 2.59-2.70
Sn: 0.0451 0.3533 0.3283  3 S 2.59-2.70
Sn: 0.2657 0.2655 0.0015  1 O 2.20
Sn: 0.7657 0.7345 0.9985  1 O 2.20
S: 0.2179 0.3807 0.5493  1 O 1.62
S: 0.2323 0.5383 0.0576  1 O 1.63
S: 0.1987 0.0828 0.3649  1 O 1.70
S: 0.7179 0.6193 0.4507  1 O 1.62
S: 0.7323 0.4617 0.9424  1 O 1.63
S: 0.6987 0.9172 0.6351  1 O 1.70
Cl: 0.5406 0.9973 0.9943  2 Sn 2.94-3.23, 4 K 3.00-3.18
Cl: 0.0406 0.0027 0.0057  2 Sn 2.94-3.23, 4 K 3.00-3.18
O: 0.4122 0.2840 0.6080  1 S 1.62
O: 0.4212 0.6148 0.0865  1 S 1.63
O: 0.3825 0.1261 0.2412  1 S 1.70
O: 0.9122 0.7160 0.3920  1 S 1.62
O: 0.9212 0.3852 0.9135  1 S 1.63
O: 0.8825 0.8739 0.7588  1 S 1.70


Spin magnetization? In order: 0.00, 2.00, 2.00, 4.00, 0.00 μB per cell.